Record 1
An optimized crystal structure of Ta2CrNO5, computed with PBE+U.

Geometry as POSCAR:
```
Ta2CrNO5
1.0
-2.498 2.363 -3.309
-8.378 -0.332 6.089
-1.241 7.228 6.098
N Ta O Cr
4 8 20 4
direct
0.802 0.831 0.485 N
0.802 0.831 0.985 N
0.698 0.331 0.985 N
0.698 0.331 0.485 N
0.509 0.835 0.341 Ta
0.991 0.335 0.841 Ta
0.508 0.177 0.159 Ta
0.509 0.835 0.841 Ta
0.992 0.677 0.659 Ta
0.508 0.177 0.659 Ta
0.991 0.335 0.341 Ta
0.992 0.677 0.159 Ta
0.690 0.999 0.153 O
0.305 0.329 0.183 O
0.807 0.167 0.316 O
0.198 0.496 0.848 O
0.198 0.496 0.348 O
0.305 0.329 0.683 O
0.302 0.996 0.348 O
0.300 0.668 0.013 O
0.807 0.167 0.816 O
0.195 0.829 0.683 O
0.810 0.499 0.153 O
0.693 0.667 0.316 O
0.693 0.667 0.816 O
0.302 0.996 0.848 O
0.300 0.668 0.513 O
0.810 0.499 0.653 O
0.195 0.829 0.183 O
0.690 0.999 0.653 O
0.200 0.168 0.013 O
0.200 0.168 0.513 O
0.001 0.999 0.500 Cr
0.001 0.999 0.000 Cr
0.499 0.499 0.500 Cr
0.499 0.499 0.000 Cr
```

piezoelectric modulus e_max	1.7	C/m2
ΔH_f (0 K)	-2.639	eV per atom
E above lowest polymorph	0.006	eV per atom
E	-339.05	eV per cell

---

Record 2
An optimized crystal structure of Ni2As2O9, computed with PBE+U.

Geometry as POSCAR:
```
Ni2As2O9
1.0
6.519 0.000 0.000
0.000 14.209 0.000
-5.933 0.000 7.540
Ni As O
8 8 36
direct
0.177 0.116 0.409 Ni
0.177 0.384 0.909 Ni
0.317 0.748 0.863 Ni
0.317 0.752 0.363 Ni
0.683 0.248 0.637 Ni
0.683 0.252 0.137 Ni
0.823 0.616 0.091 Ni
0.823 0.884 0.591 Ni
0.107 0.186 0.052 As
0.107 0.314 0.552 As
0.389 0.577 0.154 As
0.389 0.923 0.654 As
0.611 0.077 0.346 As
0.611 0.423 0.846 As
0.893 0.686 0.448 As
0.893 0.814 0.948 As
0.014 0.015 0.253 O
0.014 0.485 0.753 O
0.039 0.211 0.196 O
0.039 0.289 0.696 O
0.153 0.658 0.657 O
0.153 0.842 0.157 O
0.191 0.650 0.167 O
0.191 0.850 0.667 O
0.291 0.035 0.619 O
0.291 0.465 0.119 O
0.296 0.080 0.132 O
0.296 0.420 0.632 O
0.317 0.229 0.578 O
0.317 0.271 0.078 O
0.446 0.625 0.016 O
0.446 0.875 0.516 O
0.491 0.666 0.550 O
0.491 0.834 0.050 O
0.509 0.166 0.950 O
0.509 0.334 0.450 O
0.554 0.125 0.484 O
0.554 0.375 0.984 O
0.683 0.729 0.922 O
0.683 0.771 0.422 O
0.704 0.580 0.368 O
0.704 0.920 0.868 O
0.709 0.535 0.881 O
0.709 0.965 0.381 O
0.809 0.150 0.333 O
0.809 0.350 0.833 O
0.847 0.158 0.843 O
0.847 0.342 0.343 O
0.961 0.711 0.304 O
0.961 0.789 0.804 O
0.986 0.515 0.247 O
0.986 0.985 0.747 O
```

ΔH_f (0 K)	-1.042	eV per atom
space group	P2_1/c
E	-270.77	eV per cell

---

Record 3
An optimized crystal structure of Ca2Fe2Si5HO15, computed with PBE+U.

Geometry as POSCAR:
```
Ca2Fe2Si5HO15
1.0
6.790 0.000 0.000
-0.532 7.570 0.000
-0.374 -2.962 11.383
Ca Fe Si H O
4 4 10 2 30
direct
0.140 0.281 0.442 Ca
0.299 0.738 0.022 Ca
0.701 0.262 0.978 Ca
0.860 0.719 0.558 Ca
0.060 0.094 0.145 Fe
0.186 0.546 0.735 Fe
0.814 0.454 0.265 Fe
0.940 0.906 0.855 Fe
0.107 0.826 0.336 Si
0.211 0.306 0.946 Si
0.309 0.488 0.215 Si
0.341 0.786 0.554 Si
0.425 0.960 0.814 Si
0.575 0.040 0.186 Si
0.659 0.214 0.446 Si
0.691 0.512 0.785 Si
0.789 0.694 0.054 Si
0.893 0.174 0.664 Si
0.478 0.386 0.595 H
0.522 0.614 0.405 H
0.027 0.179 0.976 O
0.061 0.010 0.300 O
0.081 0.305 0.642 O
0.124 0.372 0.256 O
0.162 0.468 0.885 O
0.183 0.629 0.581 O
0.228 0.891 0.467 O
0.248 0.816 0.840 O
0.249 0.703 0.236 O
0.338 0.426 0.070 O
0.363 0.046 0.121 O
0.373 0.176 0.873 O
0.433 0.933 0.672 O
0.465 0.303 0.511 O
0.480 0.517 0.719 O
0.520 0.483 0.281 O
0.535 0.697 0.489 O
0.567 0.067 0.328 O
0.627 0.824 0.127 O
0.637 0.954 0.879 O
0.662 0.574 0.930 O
0.751 0.297 0.764 O
0.752 0.184 0.160 O
0.772 0.109 0.533 O
0.817 0.371 0.419 O
0.838 0.532 0.115 O
0.876 0.628 0.744 O
0.919 0.695 0.358 O
0.939 0.990 0.700 O
0.973 0.821 0.024 O
```

ΔH_f (0 K)	-2.926	eV per atom
space group	P-1
E	-368.04	eV per cell

---

Record 4
An optimized crystal structure of Al9CrB2O18, computed with PBE+U.

Geometry as POSCAR:
```
Al9CrB2O18
1.0
5.780 0.000 0.000
-0.024 7.777 0.000
-2.874 -0.023 7.638
Al Cr B O
9 1 2 18
direct
0.000 0.000 0.000 Al
0.039 0.353 0.083 Al
0.109 0.185 0.721 Al
0.181 0.002 0.372 Al
0.294 0.507 0.602 Al
0.373 0.686 0.258 Al
0.445 0.851 0.899 Al
0.486 0.502 0.981 Al
0.877 0.686 0.256 Al
0.605 0.188 0.720 Cr
0.725 0.966 0.452 B
0.758 0.471 0.522 B
0.075 0.817 0.151 O
0.092 0.149 0.191 O
0.191 0.984 0.870 O
0.195 0.616 0.398 O
0.270 0.115 0.573 O
0.294 0.486 0.110 O
0.390 0.649 0.788 O
0.401 0.320 0.830 O
0.482 0.906 0.389 O
0.550 0.747 0.107 O
0.578 0.412 0.586 O
0.680 0.978 0.876 O
0.695 0.595 0.395 O
0.796 0.091 0.578 O
0.808 0.485 0.107 O
0.897 0.902 0.384 O
0.946 0.248 0.875 O
0.997 0.407 0.589 O
```

ΔH_f (0 K)	-3.272	eV per atom
space group	P1
E	-229.58	eV per cell